The following is a PBE-GGA calculation of an optimized crystal structure of YNb3Si3S3O24, from Materials Project.

Unit cell a=9.0062 b=9.0259 c=23.1822 alpha=89.89 beta=89.39 gamma=60.07
Space group P1 (No. 1)
Symmetry-distinct sites (fractional):
Y  0.0000  0.0000  0.0000
Y  0.0129  0.9973  0.5099
Y  0.6761  0.6693  0.1789
Nb  0.0096  0.9893  0.7884
Nb  0.3261  0.3344  0.3383
Nb  0.3390  0.3263  0.1269
Nb  0.3435  0.3295  0.6231
Nb  0.3568  0.3266  0.8351
Nb  0.6559  0.6641  0.6742
Nb  0.6639  0.6729  0.9529
Nb  0.6868  0.6559  0.4622
Nb  0.9912  0.0029  0.2905
Si  0.0605  0.3206  0.2335
Si  0.2863  0.7132  0.8957
Si  0.3345  0.0567  0.7301
Si  0.3925  0.6607  0.5658
Si  0.6178  0.0652  0.2326
Si  0.6291  0.3261  0.7298
Si  0.7186  0.0036  0.8971
Si  0.9569  0.3940  0.5698
Si  0.9988  0.7193  0.3984
S  0.0037  0.2986  0.8960
S  0.0516  0.6204  0.7305
S  0.2975  0.9986  0.3966
S  0.3230  0.6219  0.2327
S  0.3882  0.9624  0.0643
S  0.6574  0.3916  0.0651
S  0.6602  0.9528  0.5663
S  0.7107  0.2974  0.3961
S  0.9648  0.6580  0.0648
O  0.0366  0.7951  0.4534
O  0.0381  0.1988  0.9487
O  0.0377  0.7951  0.7378
O  0.0583  0.1441  0.2467
O  0.1268  0.5184  0.7825
O  0.1385  0.4993  0.0731
O  0.1431  0.3346  0.8845
O  0.1431  0.3823  0.5793
O  0.1608  0.3449  0.2881
O  0.1605  0.5281  0.3806
O  0.1615  0.5450  0.6790
O  0.1668  0.7942  0.2399
O  0.1688  0.0313  0.7451
O  0.1835  0.3008  0.1750
O  0.1897  0.7866  0.9551
O  0.1906  0.0436  0.4478
O  0.1964  0.8411  0.8409
O  0.2111  0.8256  0.5628
O  0.2132  0.0002  0.0562
O  0.2129  0.9762  0.3456
O  0.2955  0.5441  0.1797
O  0.3051  0.1782  0.6742
O  0.3128  0.5267  0.8796
O  0.3243  0.1521  0.3859
O  0.3457  0.5184  0.2844
O  0.3529  0.1565  0.7859
O  0.3816  0.1353  0.0710
O  0.3877  0.4838  0.5773
O  0.4635  0.8619  0.1156
O  0.4689  0.8488  0.4038
O  0.4722  0.6415  0.2263
O  0.4867  0.6866  0.9095
O  0.4906  0.6815  0.6230
O  0.4957  0.3805  0.0719
O  0.4983  0.1236  0.5706
O  0.4977  0.8774  0.0119
O  0.5052  0.8700  0.7195
O  0.5059  0.1712  0.2881
O  0.5058  0.3612  0.7870
O  0.5159  0.6391  0.5084
O  0.5231  0.1565  0.8824
O  0.5282  0.1862  0.1736
O  0.5312  0.3020  0.6754
O  0.5356  0.3287  0.3837
O  0.6332  0.8855  0.2263
O  0.6373  0.4988  0.0128
O  0.6372  0.8717  0.5128
O  0.6477  0.4977  0.7224
O  0.6762  0.4726  0.1166
O  0.6794  0.8530  0.6180
O  0.6977  0.4688  0.4026
O  0.6978  0.8289  0.9108
O  0.7774  0.1943  0.4469
O  0.7794  0.0470  0.9551
O  0.8037  0.2205  0.0580
O  0.8051  0.9789  0.5600
O  0.8082  0.0506  0.2423
O  0.8164  0.1623  0.7445
O  0.8264  0.2126  0.3442
O  0.8279  0.6977  0.4075
O  0.8382  0.5059  0.6240
O  0.8431  0.4737  0.9078
O  0.8448  0.9712  0.8418
O  0.8603  0.6823  0.1163
O  0.8667  0.5152  0.5093
O  0.8770  0.6509  0.7234
O  0.8779  0.4814  0.2270
O  0.8841  0.6320  0.0128
O  0.9626  0.2202  0.5589
O  0.9656  0.2225  0.8465
O  0.9753  0.8441  0.3409
O  0.9915  0.8042  0.0589

Results
VASP energy: -7.6495 eV per atom
formation enthalpy at 0 K: -2.72 eV per atom


The following is a PBE-GGA calculation of an optimized crystal structure of YNbSiS2O12, from Materials Project.

Unit cell a=15.8576 b=9.1492 c=23.2475 alpha=90.00 beta=90.27 gamma=90.00
Space group Cc (No. 9)
Symmetry-distinct sites (fractional):
Y  0.0000  0.0010  0.0000
Y  0.1665  0.4944  0.3335
Y  0.3363  0.0078  0.1669
Nb  0.1688  0.4964  0.1164
Nb  0.3416  0.0009  0.4495
Nb  0.4971  0.4874  0.2827
Si  0.3104  0.3672  0.2238
Si  0.4810  0.1329  0.0576
Si  0.4949  0.2146  0.3905
S  0.0293  0.3413  0.2221
S  0.1467  0.1269  0.3902
S  0.1581  0.2166  0.7221
S  0.1938  0.1536  0.0566
S  0.3227  0.2855  0.5560
S  0.3610  0.3437  0.8887
O  0.0031  0.1863  0.9453
O  0.0285  0.1787  0.2316
O  0.0637  0.4146  0.2726
O  0.0657  0.4001  0.8767
O  0.0736  0.4513  0.5703
O  0.0795  0.1206  0.7299
O  0.0835  0.3733  0.1701
O  0.0940  0.1072  0.4408
O  0.1053  0.0630  0.3375
O  0.1073  0.1036  0.0486
O  0.1418  0.3117  0.6704
O  0.1625  0.2832  0.3818
O  0.1705  0.3019  0.7740
O  0.1879  0.3197  0.0657
O  0.2291  0.0881  0.1083
O  0.2286  0.1184  0.7119
O  0.2299  0.0517  0.4002
O  0.2418  0.3755  0.5637
O  0.2465  0.1297  0.0049
O  0.2590  0.4051  0.2795
O  0.2609  0.4444  0.1668
O  0.2753  0.3964  0.8799
O  0.3083  0.1895  0.5042
O  0.3301  0.1996  0.2147
O  0.3359  0.2007  0.6080
O  0.3533  0.1776  0.8969
O  0.3915  0.3883  0.5467
O  0.3973  0.4072  0.9404
O  0.4027  0.1187  0.4004
O  0.4063  0.4527  0.2346
O  0.4160  0.3675  0.8372
O  0.4218  0.0958  0.1097
O  0.4279  0.0555  0.9990
O  0.4424  0.1112  0.7120
O  0.4817  0.3307  0.3326
O  0.4983  0.2988  0.0438

Results
VASP energy: -7.4246 eV per atom
formation enthalpy at 0 K: -2.64 eV per atom


The following is a PBE-GGA calculation of an optimized crystal structure of Nb4Zn2Si3S6O36, from Materials Project.

Unit cell a=15.3401 b=8.8728 c=22.7134 alpha=90.00 beta=90.40 gamma=90.00
Space group Cc (No. 9)
Symmetry-distinct sites (fractional):
Nb  0.0000  0.0019  0.0000
Nb  0.0030  0.0108  0.7829
Nb  0.1682  0.4867  0.3307
Nb  0.3357  0.0040  0.1655
Zn  0.1633  0.4971  0.1233
Zn  0.3359  0.0131  0.4488
Si  0.0326  0.3619  0.7199
Si  0.1675  0.2169  0.2212
Si  0.3593  0.3548  0.3916
S  0.0034  0.2827  0.3926
S  0.1458  0.1442  0.8919
S  0.1953  0.1476  0.5553
S  0.3139  0.3566  0.7233
S  0.3363  0.2838  0.0551
S  0.4815  0.1404  0.5553
O  0.0100  0.1847  0.7382
O  0.0220  0.1859  0.4456
O  0.0699  0.4140  0.0617
O  0.0768  0.4364  0.7796
O  0.0856  0.3777  0.3867
O  0.0879  0.1078  0.2415
O  0.0892  0.1132  0.9444
O  0.0891  0.3631  0.6630
O  0.1036  0.0751  0.8386
O  0.1063  0.0705  0.5489
O  0.1480  0.3100  0.8838
O  0.1529  0.3076  0.1632
O  0.1839  0.3078  0.5641
O  0.1880  0.3218  0.2814
O  0.2318  0.0792  0.8986
O  0.2361  0.0725  0.6091
O  0.2457  0.1129  0.5032
O  0.2542  0.1036  0.2114
O  0.2588  0.3776  0.7758
O  0.2680  0.3925  0.0652
O  0.2676  0.4491  0.3806
O  0.2833  0.4295  0.6702
O  0.3232  0.1887  0.7150
O  0.3252  0.1916  0.0030
O  0.3497  0.1804  0.3975
O  0.3520  0.1846  0.1089
O  0.4051  0.4104  0.7360
O  0.4104  0.4362  0.4499
O  0.4215  0.4053  0.3365
O  0.4239  0.3726  0.0500
O  0.4261  0.1226  0.6085
O  0.4270  0.1245  0.9002
O  0.4346  0.0595  0.2091
O  0.4396  0.0800  0.5029
O  0.4890  0.3165  0.5488
O  0.4952  0.3113  0.8397

Results
VASP energy: -7.0082 eV per atom
formation enthalpy at 0 K: -2.35 eV per atom


The following is a PBE-GGA calculation of an optimized crystal structure of Nb10Zn2Si9S9O72, from Materials Project.

Unit cell a=8.8581 b=8.8955 c=22.9080 alpha=89.72 beta=89.86 gamma=60.20
Space group P1 (No. 1)
Symmetry-distinct sites (fractional):
Nb  0.0000  0.0000  0.0000
Nb  0.0007  0.9877  0.5011
Nb  0.3219  0.3288  0.8865
Nb  0.3487  0.3288  0.3899
Nb  0.6659  0.6633  0.0477
Nb  0.6676  0.6537  0.3427
Nb  0.6748  0.6585  0.8379
Nb  0.6769  0.6643  0.5515
Nb  0.9942  0.0043  0.2203
Nb  0.9965  0.9997  0.7164
Zn  0.3093  0.3479  0.6691
Zn  0.3391  0.3364  0.1752
Si  0.0080  0.7068  0.6119
Si  0.0501  0.3291  0.7743
Si  0.3856  0.6674  0.4477
Si  0.3885  0.9444  0.9430
Si  0.6073  0.3423  0.2742
Si  0.6607  0.3845  0.9435
Si  0.6682  0.9419  0.4439
Si  0.9484  0.6660  0.9441
Si  0.9552  0.3783  0.4465
S  0.0037  0.2831  0.1122
S  0.0444  0.6183  0.2750
S  0.2827  0.7149  0.1111
S  0.2862  0.9970  0.6105
S  0.3344  0.6197  0.7766
S  0.3359  0.0443  0.2753
S  0.6172  0.0479  0.7762
S  0.7133  0.2829  0.6113
S  0.7153  0.9978  0.1113
O  0.0129  0.8225  0.5558
O  0.0218  0.1604  0.7662
O  0.0242  0.1753  0.0603
O  0.0283  0.7989  0.2650
O  0.1135  0.5180  0.2222
O  0.1291  0.3691  0.7195
O  0.1396  0.3612  0.4268
O  0.1405  0.5015  0.9338
O  0.1535  0.5467  0.3268
O  0.1551  0.3018  0.1207
O  0.1684  0.3038  0.8345
O  0.1750  0.0200  0.2658
O  0.1754  0.8071  0.0588
O  0.1763  0.0231  0.5587
O  0.1762  0.7975  0.7693
O  0.1787  0.5276  0.6131
O  0.1944  0.8374  0.4542
O  0.1945  0.9739  0.9590
O  0.1965  0.9738  0.6638
O  0.2006  0.8252  0.1635
O  0.2951  0.1537  0.3272
O  0.2967  0.5464  0.1154
O  0.3038  0.5415  0.8296
O  0.3131  0.1428  0.6178
O  0.3574  0.1200  0.2220
O  0.3584  0.5011  0.4336
O  0.3678  0.1352  0.9347
O  0.3729  0.5156  0.7250
O  0.4541  0.8314  0.6052
O  0.4576  0.7013  0.1040
O  0.4699  0.8270  0.8868
O  0.4714  0.6953  0.3876
O  0.4837  0.6505  0.7881
O  0.4840  0.8686  0.2844
O  0.4950  0.1336  0.4343
O  0.4978  0.3591  0.9296
O  0.5063  0.3690  0.2155
O  0.5064  0.6302  0.5039
O  0.5059  0.8551  0.0027
O  0.5183  0.1213  0.7238
O  0.5230  0.3034  0.3324
O  0.5410  0.1549  0.8294
O  0.5442  0.1469  0.1172
O  0.5472  0.2948  0.6213
O  0.6334  0.8569  0.5017
O  0.6348  0.5033  0.0024
O  0.6433  0.8704  0.7867
O  0.6505  0.4974  0.2880
O  0.6974  0.8296  0.3852
O  0.7013  0.4715  0.8882
O  0.7023  0.4550  0.6055
O  0.7081  0.8345  0.1052
O  0.7981  0.0260  0.7705
O  0.8006  0.1781  0.5595
O  0.8054  0.0196  0.0597
O  0.8109  0.1636  0.2642
O  0.8245  0.7013  0.6030
O  0.8269  0.7036  0.8877
O  0.8289  0.9722  0.1638
O  0.8297  0.2007  0.6649
O  0.8299  0.9763  0.4539
O  0.8309  0.4687  0.3886
O  0.8319  0.1966  0.9599
O  0.8413  0.4540  0.1058
O  0.8547  0.4960  0.7898
O  0.8596  0.6341  0.0028
O  0.8649  0.5054  0.5024
O  0.8646  0.6542  0.2846
O  0.9706  0.8343  0.9590
O  0.9725  0.8397  0.6682
O  0.9733  0.1927  0.4598
O  0.9764  0.1948  0.1646

Results
VASP energy: -7.4482 eV per atom
formation enthalpy at 0 K: -2.58 eV per atom